P:
Density functional theory data (PBE with a Hubbard U) for crystalline Li2V2F7 at its relaxed geometry.

Space group: Pna2_1
Total magnetization: 5.0 μB/f.u.

a b c (Å): 5.3017 7.7002 12.4596
angles (deg): 90.00 90.00 90.00
Last column: nearest neighbours and their distance in Å.
Positions (direct):
F  0.9674  0.7483  0.6573  1 Li 1.84, 1 V 1.99
Li  0.3835  0.7521  0.4274  4 F 1.86-1.98
Li  0.6165  0.2521  0.5726  4 F 1.86-1.98
F  0.5326  0.7483  0.1573  1 Li 1.84, 1 V 1.99
F  0.1142  0.7309  0.0760  2 Li 1.83-1.86
F  0.6862  0.4612  0.0542  1 Li 1.93, 1 V 2.03
F  0.0326  0.2483  0.3427  1 Li 1.84, 1 V 1.99
F  0.9647  0.4523  0.7594  1 Li 1.90, 1 V 2.05
F  0.7644  0.7668  0.8843  1 Li 1.95, 1 V 2.11
F  0.3138  0.9612  0.9458  1 Li 1.93, 1 V 2.03
F  0.9402  0.0509  0.7684  1 Li 1.94, 2 V 2.08
V  0.1475  0.5282  0.6220  7 F 1.99-2.11
V  0.6475  0.0282  0.8780  7 F 1.99-2.11
V  0.6347  0.4927  0.8723  6 F 2.08-2.30
F  0.4647  0.9523  0.7406  1 Li 1.90, 1 V 2.05
F  0.2963  0.5310  0.9549  1 Li 1.98, 2 V 2.09-2.10
F  0.5598  0.0509  0.2684  1 Li 1.94, 2 V 2.08
F  0.4402  0.5509  0.7316  1 Li 1.94, 2 V 2.08
Li  0.1241  0.2535  0.8189  4 F 1.83-1.94
Li  0.1165  0.7521  0.9274  4 F 1.86-1.98
V  0.8525  0.0282  0.3780  7 F 1.99-2.11
F  0.8858  0.2309  0.9240  2 Li 1.83-1.86
Li  0.8759  0.7535  0.1811  4 F 1.83-1.94
F  0.2037  0.5310  0.4549  1 Li 1.98, 2 V 2.09-2.10
F  0.5353  0.4523  0.2594  1 Li 1.90, 1 V 2.05
F  0.0598  0.5509  0.2316  1 Li 1.94, 2 V 2.08
V  0.3525  0.5282  0.1220  7 F 1.99-2.11
F  0.0353  0.9523  0.2406  1 Li 1.90, 1 V 2.05
Li  0.8835  0.2521  0.0726  4 F 1.86-1.98
F  0.6142  0.2309  0.4240  2 Li 1.83-1.86
Li  0.3759  0.2535  0.3189  4 F 1.83-1.94
Li  0.6241  0.7535  0.6811  4 F 1.83-1.94
V  0.1346  0.9927  0.6277  6 F 2.08-2.30
F  0.7963  0.0310  0.5451  1 Li 1.98, 2 V 2.09-2.10
V  0.8654  0.4927  0.3723  6 F 2.08-2.30
F  0.8138  0.4612  0.5542  1 Li 1.93, 1 V 2.03
F  0.1862  0.9612  0.4458  1 Li 1.93, 1 V 2.03
F  0.2356  0.2668  0.1157  1 Li 1.95, 1 V 2.11
V  0.3654  0.9927  0.1277  6 F 2.08-2.30
F  0.7037  0.0310  0.0451  1 Li 1.98, 2 V 2.09-2.10
F  0.3858  0.7309  0.5760  2 Li 1.83-1.86
F  0.4674  0.2483  0.8427  1 Li 1.84, 1 V 1.99
F  0.2644  0.2668  0.6157  1 Li 1.95, 1 V 2.11
F  0.7356  0.7668  0.3843  1 Li 1.95, 1 V 2.11



Q:
Density functional theory data (PBE with a Hubbard U) for crystalline Li2V2F7 at its relaxed geometry.

Space group: P-1
Total magnetization: 5.0 μB/f.u.

a b c (Å): 5.5093 6.8736 8.8189
angles (deg): 71.84 73.42 82.00
Last column: nearest neighbours and their distance in Å.
Positions (direct):
F  0.1052  0.9378  0.7283  2 V 2.01-2.16, 1 Li 2.10
Li  0.8792  0.5722  0.7330  4 F 1.86-1.99
F  0.3121  0.1013  0.9171  3 V 2.02-2.18
Li  0.5789  0.2549  0.3420  4 F 1.94-2.15
F  0.2498  0.4982  0.6984  2 Li 1.94-1.99, 1 V 1.97
V  0.7028  0.9960  0.8234  6 F 2.03-2.18
V  0.2972  0.0040  0.1766  6 F 2.03-2.18
F  0.3993  0.2786  0.1734  2 Li 1.86-1.96, 1 V 2.03
V  0.7830  0.7835  0.3005  6 F 1.91-2.02
F  0.6007  0.7214  0.8266  2 Li 1.86-1.96, 1 V 2.03
Li  0.1208  0.4278  0.2670  4 F 1.86-1.99
F  0.7502  0.5018  0.3016  2 Li 1.94-1.99, 1 V 1.97
F  0.8948  0.0622  0.2717  2 V 2.01-2.16, 1 Li 2.10
F  0.1507  0.7235  0.2020  1 Li 1.95, 2 V 2.00-2.12
F  0.1960  0.3140  0.4755  1 Li 1.90, 1 V 1.91
F  0.8493  0.2765  0.7980  1 Li 1.95, 2 V 2.00-2.12
F  0.8040  0.6860  0.5245  1 Li 1.90, 1 V 1.91
F  0.4227  0.8722  0.3961  2 V 2.01-2.13, 1 Li 2.20
V  0.2170  0.2165  0.6995  6 F 1.91-2.02
F  0.6879  0.8987  0.0829  3 V 2.02-2.18
F  0.5773  0.1278  0.6039  2 V 2.01-2.13, 1 Li 2.20
Li  0.4211  0.7451  0.6580  4 F 1.94-2.15



Least stable structure: P



P:
Density functional theory data (PBE with a Hubbard U) for crystalline Li9Mn2Co5O16 at its relaxed geometry.

Space group: C2/m
Total magnetization: 6.0 μB/f.u.

a b c (Å): 6.5556 6.5556 10.2169
angles (deg): 59.53 59.53 52.68
Last column: nearest neighbours and their distance in Å.
Positions (direct):
Co  0.2438  0.7530  0.2583  6 O 1.94-2.16
Li  0.0000  0.0000  0.5000  6 O 2.08-2.17
O  0.1168  0.1168  0.2431  2 Co 1.94, 4 Li 2.05-2.17
O  0.3800  0.8494  0.5076  1 Mn 1.95, 1 Co 1.98, 4 Li 2.08-2.17
Li  0.2489  0.2489  0.0009  6 O 2.05-2.26
O  0.8695  0.3554  0.0028  1 Mn 1.95, 2 Co 2.01-2.16, 1 Li 2.13
Li  0.7503  0.7503  0.5047  6 O 2.09-2.29
Co  0.2470  0.7562  0.7417  6 O 1.94-2.16
O  0.6106  0.6106  0.7566  3 Co 2.02-2.05, 3 Li 2.13-2.15
O  0.1506  0.6200  0.4924  1 Mn 1.95, 1 Co 1.98, 4 Li 2.08-2.17
Li  0.7511  0.7511  0.9991  6 O 2.05-2.26
Li  0.4918  0.9994  0.2582  6 O 2.09-2.21
O  0.3894  0.3894  0.2434  3 Co 2.02-2.05, 3 Li 2.13-2.15
Co  0.5000  0.5000  0.0000  6 O 2.01-2.05
O  0.6150  0.6150  0.2675  1 Mn 1.96, 2 Co 2.05, 2 Li 2.09
Li  0.2497  0.2497  0.4953  6 O 2.09-2.29
O  0.3554  0.8695  0.0028  1 Mn 1.95, 2 Co 2.01-2.16, 1 Li 2.13
Li  0.9994  0.4918  0.2582  6 O 2.09-2.21
O  0.8873  0.8873  0.2332  1 Mn 1.96, 2 Co 2.05, 2 Li 2.13
Mn  0.0000  0.0000  0.0000  6 O 1.95-1.96
O  0.8832  0.8832  0.7569  2 Co 1.94, 4 Li 2.05-2.17
O  0.1305  0.6446  0.9972  1 Mn 1.95, 2 Co 2.01-2.16, 1 Li 2.13
Li  0.0006  0.5082  0.7418  6 O 2.09-2.21
O  0.8494  0.3800  0.5076  1 Mn 1.95, 1 Co 1.98, 4 Li 2.08-2.17
O  0.3850  0.3850  0.7325  1 Mn 1.96, 2 Co 2.05, 2 Li 2.09
O  0.6446  0.1305  0.9972  1 Mn 1.95, 2 Co 2.01-2.16, 1 Li 2.13
O  0.6200  0.1506  0.4924  1 Mn 1.95, 1 Co 1.98, 4 Li 2.08-2.17
Co  0.7562  0.2470  0.7417  6 O 1.94-2.16
Li  0.5082  0.0006  0.7418  6 O 2.09-2.21
Mn  0.5000  0.5000  0.5000  6 O 1.95-1.96
Co  0.7530  0.2438  0.2583  6 O 1.94-2.16
O  0.1127  0.1127  0.7668  1 Mn 1.96, 2 Co 2.05, 2 Li 2.13



Q:
Density functional theory data (PBE with a Hubbard U) for crystalline Li9Mn2Co5O16 at its relaxed geometry.

Space group: P1
Total magnetization: 14.0 μB/f.u.

a b c (Å): 2.9747 8.0802 11.9310
angles (deg): 90.66 94.18 91.02
Last column: nearest neighbours and their distance in Å.
Positions (direct):
Co  0.4995  0.2506  0.6257  4 O 1.91-1.93
O  0.5269  0.4890  0.6309  2 Co 1.92-1.93, 2 Li 2.11-2.12
O  0.4733  0.9892  0.8890  1 Co 1.96, 2 Mn 1.99-2.04, 2 Li 2.12-2.15
O  0.5266  0.5003  0.1351  1 Co 1.87, 2 Li 1.99
Mn  0.5031  0.7493  0.3747  4 O 1.94-1.97
O  0.4753  0.0118  0.6201  2 Co 1.93, 3 Li 2.10-2.13
Li  0.4936  0.2542  0.8806  5 O 2.00-2.18
O  0.0266  0.7322  0.2533  1 Mn 1.95, 1 Co 1.97, 2 Li 2.11-2.17
O  0.9948  0.2739  0.2529  1 Co 1.74
O  0.0254  0.7398  0.7568  2 Co 1.91-1.94, 2 Li 2.12-2.13
O  0.9741  0.7632  0.4981  1 Co 1.93, 1 Mn 1.96, 3 Li 2.10-2.16
Li  0.0042  0.0013  0.7465  5 O 2.10-2.13
Co  0.0075  0.4881  0.2444  2 O 1.74-1.87
Li  0.9994  0.4902  0.0028  6 O 2.08-2.23
Li  0.9926  0.0092  0.2499  5 O 2.10-2.24
Li  0.5043  0.7459  0.1241  6 O 1.99-2.18
O  0.9690  0.7594  0.9914  1 Co 1.91, 1 Mn 2.01
Co  0.9982  0.4997  0.7502  4 O 1.92-1.94
Co  0.4889  0.7475  0.8763  4 O 1.91-1.96
O  0.4757  0.5111  0.8672  2 Co 1.91-1.92, 1 Li 2.08
O  0.9734  0.2613  0.7427  2 Co 1.91-1.93, 1 Li 2.11
Co  0.9978  0.0015  0.5011  4 O 1.91-1.95
Li  0.5073  0.2546  0.1190  5 O 1.99-2.16
O  0.5226  0.9992  0.1097  2 Mn 1.95-1.97, 3 Li 2.06-2.10
O  0.0064  0.2325  0.9971  1 Mn 1.82, 2 Li 2.00-2.01
Li  0.4993  0.7492  0.6256  6 O 2.10-2.18
Mn  0.9977  0.0072  0.0027  6 O 1.82-2.04
Li  0.5041  0.2527  0.3750  6 O 2.03-2.20
O  0.4770  0.5089  0.3702  1 Mn 1.94, 1 Co 1.98, 2 Li 2.07-2.13
Li  0.0020  0.4967  0.5009  6 O 2.10-2.18
O  0.5269  0.9927  0.3789  1 Co 1.95, 1 Mn 1.97, 3 Li 2.10-2.15
O  0.0264  0.2376  0.5074  2 Co 1.91-1.92, 1 Li 2.10



R:
Density functional theory data (PBE with a Hubbard U) for crystalline Li9Mn2Co5O16 at its relaxed geometry.

Space group: P-1
Total magnetization: 8.0 μB/f.u.

a b c (Å): 5.8694 5.9250 9.7533
angles (deg): 99.64 90.21 119.46
Last column: nearest neighbours and their distance in Å.
Positions (direct):
O  0.0510  0.1056  0.8889  2 Mn 1.96-1.97, 1 Li 2.11, 1 Co 2.13
Co  0.5000  0.5000  0.5000  6 O 1.97-2.08
Li  0.2493  0.4999  0.0001  6 O 2.11-2.16
O  0.6794  0.8689  0.6270  3 Co 2.03-2.06, 3 Li 2.05-2.14
Co  0.6384  0.2663  0.2619  3 O 1.85-2.03
O  0.5505  0.1031  0.8881  2 Mn 1.96-1.97, 1 Li 2.12, 1 Co 2.17
O  0.8158  0.1191  0.3605  2 Co 1.92-1.98, 2 Li 1.99-2.14
Li  0.3740  0.2541  0.7425  3 O 1.99-2.02
Co  0.8770  0.7466  0.7384  6 O 1.92-2.13
O  0.9490  0.8944  0.1111  2 Mn 1.96-1.97, 1 Li 2.11, 1 Co 2.13
O  0.0757  0.6537  0.8773  1 Mn 1.95, 2 Co 2.08-2.09, 2 Li 2.14
Li  0.1310  0.7458  0.2670  4 O 2.04-2.26
O  0.5805  0.6589  0.8780  1 Mn 1.92, 2 Co 2.11-2.13, 1 Li 2.14
Co  0.3616  0.7337  0.7381  3 O 1.85-2.03
O  0.1842  0.8809  0.6395  2 Co 1.92-1.98, 2 Li 1.99-2.14
Li  0.0000  0.0000  0.5000  6 O 2.14-2.19
O  0.9243  0.3463  0.1227  1 Mn 1.95, 2 Co 2.08-2.09, 2 Li 2.14
Mn  0.2501  0.0000  0.0007  6 O 1.92-1.97
Li  0.6260  0.7459  0.2575  3 O 1.99-2.02
O  0.4195  0.3411  0.1220  1 Mn 1.92, 2 Co 2.11-2.13, 1 Li 2.14
O  0.6815  0.3982  0.6268  2 Co 1.92-1.97, 3 Li 2.02-2.13
Li  0.0000  0.5000  0.5000  6 O 2.09-2.16
O  0.3185  0.6018  0.3732  2 Co 1.92-1.97, 3 Li 2.02-2.13
O  0.4495  0.8969  0.1119  2 Mn 1.96-1.97, 1 Li 2.12, 1 Co 2.17
O  0.3206  0.1311  0.3730  3 Co 2.03-2.06, 3 Li 2.05-2.14
O  0.1996  0.3960  0.6310  1 Co 1.85, 2 Li 2.02-2.04
Li  0.5000  0.0000  0.5000  6 O 2.09-2.20
Mn  0.7499  0.0000  0.9993  6 O 1.92-1.97
Co  0.1230  0.2534  0.2616  6 O 1.92-2.13
Li  0.7507  0.5001  0.9999  6 O 2.11-2.16
Li  0.8690  0.2542  0.7330  4 O 2.04-2.26
O  0.8004  0.6040  0.3690  1 Co 1.85, 2 Li 2.02-2.04



S:
Density functional theory data (PBE with a Hubbard U) for crystalline Li9Mn2Co5O16 at its relaxed geometry.

Space group: Cm
Total magnetization: 8.0 μB/f.u.

a b c (Å): 5.9379 5.9379 9.7081
angles (deg): 81.75 81.75 58.47
Last column: nearest neighbours and their distance in Å.
Positions (direct):
Li  0.1210  0.6182  0.2639  4 O 2.00-2.22
O  0.9395  0.4050  0.3751  2 Co 1.91-1.92, 2 Li 2.06-2.07
O  0.5716  0.0677  0.6305  3 Co 1.97-2.16, 3 Li 2.11-2.16
Li  0.6182  0.1210  0.2639  4 O 2.00-2.22
Mn  0.0006  0.5012  0.0040  6 O 1.90-1.99
O  0.8500  0.3207  0.1221  1 Mn 1.90, 1 Co 1.94, 2 Li 2.06-2.07
Li  0.6212  0.6212  0.2528  6 O 2.06-2.20
Co  0.3781  0.3781  0.7444  6 O 1.99-2.12
O  0.4353  0.4353  0.3836  2 Co 1.97, 4 Li 2.04-2.13
O  0.6936  0.6936  0.8925  2 Mn 1.96, 1 Li 2.10
O  0.1700  0.6735  0.8759  1 Mn 1.99, 2 Co 2.02-2.04, 2 Li 2.15-2.19
Co  0.8800  0.8800  0.7435  5 O 1.97-2.02
Li  0.0023  0.0023  0.0029  6 O 2.07-2.17
O  0.9336  0.9336  0.3766  3 Li 2.00-2.06, 3 Co 2.03-2.13
O  0.1994  0.1994  0.8861  2 Mn 1.98, 1 Co 2.12, 1 Li 2.17
Li  0.2511  0.2511  0.4982  6 O 2.05-2.21
O  0.0677  0.5716  0.6305  3 Co 1.97-2.16, 3 Li 2.11-2.16
O  0.5544  0.5544  0.6228  3 Co 2.01-2.06, 3 Li 2.05-2.19
O  0.0537  0.0537  0.6251  3 Co 1.97-2.09, 2 Li 2.03
Li  0.3750  0.8767  0.7379  4 O 2.03-2.26
Li  0.5033  0.5033  0.0063  6 O 2.05-2.19
Mn  0.5012  0.0006  0.0040  6 O 1.90-1.99
O  0.3207  0.8500  0.1221  1 Mn 1.90, 1 Co 1.94, 2 Li 2.06-2.07
Co  0.1229  0.1229  0.2524  5 O 1.92-2.13
Co  0.2555  0.7517  0.4895  5 O 1.91-2.09
Co  0.7517  0.2555  0.4895  5 O 1.91-2.09
O  0.6735  0.1700  0.8759  1 Mn 1.99, 2 Co 2.02-2.04, 2 Li 2.15-2.19
O  0.4050  0.9395  0.3751  2 Co 1.91-1.92, 2 Li 2.06-2.07
O  0.8094  0.8094  0.1104  2 Mn 1.93, 1 Li 2.10
O  0.3143  0.3143  0.1100  2 Mn 1.95, 1 Li 2.05
Li  0.8767  0.3750  0.7379  4 O 2.03-2.26
Li  0.7495  0.7495  0.4944  6 O 2.06-2.19



Least stable structure: Q



P:
Density functional theory data (PBE with a Hubbard U) for crystalline Li9Mn2Co5O16 at its relaxed geometry.

Space group: P1
Total magnetization: 8.0 μB/f.u.

a b c (Å): 5.0698 7.7663 7.8163
angles (deg): 97.43 101.86 103.48
Last column: nearest neighbours and their distance in Å.
Positions (direct):
O  0.7652  0.0047  0.7680  1 Mn 1.97, 2 Co 2.05-2.06, 2 Li 2.09-2.13
O  0.2265  0.7352  0.4959  1 Mn 1.91, 1 Co 2.02, 3 Li 2.06-2.11
O  0.7432  0.3561  0.8673  3 Co 1.93-2.15
Co  0.4943  0.8646  0.1299  4 O 1.84-2.06
Co  0.9920  0.7494  0.2586  6 O 1.91-2.11
O  0.7661  0.7660  0.0046  1 Mn 1.93, 2 Co 2.07-2.11, 1 Li 2.10
Co  0.4999  0.3830  0.6178  5 O 1.89-2.05
Li  0.5004  0.2568  0.2539  6 O 2.06-2.28
Li  0.5024  0.5024  0.0081  6 O 2.13-2.28
O  0.7556  0.6041  0.6210  1 Co 1.89, 1 Mn 1.98, 1 Li 2.08
O  0.7751  0.5020  0.2653  1 Mn 1.93, 1 Co 1.99, 3 Li 2.05-2.11
Co  0.0030  0.2502  0.7481  6 O 1.97-2.07
Mn  0.0017  0.5008  0.4965  6 O 1.91-1.99
Mn  0.9997  0.0000  0.0005  6 O 1.93-1.97
Li  0.9976  0.6250  0.8758  6 O 2.08-2.19
Li  0.5008  0.9919  0.4968  6 O 2.14-2.25
Li  0.9994  0.1246  0.3733  6 O 2.04-2.16
O  0.2348  0.4949  0.7334  1 Mn 1.99, 2 Co 2.02-2.05, 2 Li 2.08-2.13
O  0.2364  0.2368  0.9944  1 Mn 1.96, 2 Co 2.06-2.07, 3 Li 2.12-2.16
O  0.7591  0.8708  0.3619  2 Co 1.91-2.01, 3 Li 2.04-2.11
Li  0.4965  0.7482  0.7425  6 O 2.08-2.24
O  0.2548  0.1417  0.6360  3 Co 1.97-2.06, 2 Li 2.16-2.20
Li  0.0126  0.3799  0.1342  6 O 2.05-2.20
O  0.2498  0.8970  0.8831  2 Co 1.95-2.15, 1 Mn 1.96, 2 Li 2.17-2.19
Co  0.5023  0.1266  0.8758  6 O 1.93-2.06
Li  0.9900  0.8694  0.6186  6 O 2.06-2.20
O  0.2371  0.9978  0.2287  1 Mn 1.94, 2 Co 2.05-2.11, 2 Li 2.10-2.13
O  0.7519  0.1058  0.1112  1 Mn 1.94, 2 Co 2.06, 1 Li 2.14
Li  0.5009  0.6239  0.3758  6 O 2.07-2.14
O  0.2365  0.3820  0.3903  1 Mn 1.92, 1 Co 1.99, 3 Li 2.05-2.08
O  0.7600  0.2630  0.5064  1 Mn 1.99, 2 Co 2.05-2.06, 3 Li 2.12-2.19
O  0.2543  0.6453  0.1262  1 Co 1.84



Q:
Density functional theory data (PBE with a Hubbard U) for crystalline Li9Mn2Co5O16 at its relaxed geometry.

Space group: P1
Total magnetization: 10.0 μB/f.u.

a b c (Å): 5.0467 5.8482 10.1227
angles (deg): 88.93 99.04 107.08
Last column: nearest neighbours and their distance in Å.
Positions (direct):
O  0.2486  0.5778  0.2032  1 Mn 1.89, 1 Co 1.95, 2 Li 2.05-2.07
O  0.7835  0.7066  0.0696  1 Mn 1.90, 1 Co 1.94, 2 Li 2.04-2.11
Co  0.4964  0.3713  0.6255  6 O 1.93-2.06
O  0.2430  0.2964  0.9395  1 Mn 1.99, 2 Co 2.04-2.06, 3 Li 2.08-2.12
O  0.2535  0.0827  0.6869  2 Co 1.93-2.01, 3 Li 2.12-2.15
Li  0.0067  0.5047  0.0023  6 O 2.04-2.18
O  0.2195  0.0428  0.1805  1 Mn 1.90, 1 Co 1.93, 2 Li 2.05-2.09
O  0.2435  0.7920  0.4261  1 Mn 1.97, 2 Co 1.99-2.01, 2 Li 2.10-2.18
Li  0.0043  0.7501  0.7536  6 O 2.04-2.25
Li  0.4970  0.1210  0.3686  6 O 2.10-2.18
Li  0.9918  0.2455  0.2442  6 O 2.05-2.22
Mn  0.4966  0.6292  0.3674  6 O 1.89-2.03
Co  0.9982  0.4973  0.4995  6 O 1.96-2.09
Li  0.5001  0.6261  0.8814  6 O 2.10-2.19
O  0.7678  0.9479  0.8250  1 Mn 2.00, 2 Co 2.02-2.05, 3 Li 2.10-2.21
O  0.2590  0.3353  0.4378  1 Mn 1.98, 2 Co 2.01-2.06, 3 Li 2.15-2.17
O  0.2484  0.8381  0.9362  1 Co 1.89, 1 Mn 1.98, 2 Li 2.04-2.11
Li  0.5006  0.8747  0.1261  6 O 2.05-2.11
O  0.7596  0.2030  0.5642  3 Co 1.96-2.07, 3 Li 2.10-2.18
O  0.7427  0.4618  0.3133  1 Mn 1.94, 2 Co 1.97-2.09, 2 Li 2.08-2.13
Li  0.9968  0.0006  0.4963  6 O 2.04-2.18
Co  0.9976  0.7507  0.2484  6 O 1.93-1.99
Mn  0.0020  0.9978  0.0069  6 O 1.90-2.00
Co  0.5029  0.1183  0.8839  5 O 1.89-2.05
O  0.7654  0.1771  0.0544  1 Mn 1.92, 1 Co 1.97, 3 Li 2.06-2.08
O  0.7489  0.9108  0.3137  1 Mn 1.89, 1 Co 1.97, 2 Li 2.04-2.08
Li  0.5066  0.3773  0.1234  6 O 2.08-2.23
O  0.7303  0.6676  0.5521  2 Co 1.99-2.03, 1 Mn 2.03, 2 Li 2.14
O  0.2429  0.5520  0.6831  3 Co 2.00-2.04, 3 Li 2.08-2.19
Co  0.0020  0.2517  0.7520  6 O 1.98-2.07
O  0.7444  0.4158  0.8076  3 Co 1.98-2.03, 3 Li 2.13-2.19
Li  0.4994  0.8758  0.6271  6 O 2.08-2.21



Least stable structure: P